The following is a r²SCAN calculation of an optimized crystal structure of Na2ZnSe2, from the Materials Project database.

Calculated values
ΔH_f (0 K): -1.11 eV/atom
Electronic total energy: -10.047 eV/atom

abc: 6.6050 11.7151 6.0840
angles: 90.00 90.00 90.00
With the nearest neighbours (Å) after each atom.
Space group Ibam (No. 72)
One atom of each set of equivalent atoms:
1 Na 0.1594 0.1387 0.0000 [8 per cell]  5 Se 2.91-3.17, 2 Zn 3.16
2 Zn 0.0000 0.5000 0.2500 [4 per cell]  4 Se 2.48
3 Se 0.2152 0.3853 0.0000 [8 per cell]  2 Zn 2.48